Entry from the Materials Project database: a relaxed structure of TiPd2 (PBE).

For the magnetization, the calculation gives 0.0 Bohr magnetons per cell. As for the formation energy: -630.3 meV/atom.

It has space group I4/mmm (No. 139), with a = 3.2748 Å, b = 3.2748 Å, c = 8.7765 Å, α = 90.00°, β = 90.00° and γ = 90.00°. The asymmetric unit holds Ti at (0.0000, 0.0000, 0.0000) and Pd at (0.0000, 0.0000, 0.3431).